1.
Crystalline TiNi4GeO8 at its relaxed geometry. Source: Materials Project, functional PBE+U.

Cell lengths 8.366, 8.366, 8.366 Å; angles 90.00, 90.00, 90.00 degrees
Space group F-43m (No. 216)
Symmetry-distinct sites (fractional):
Ti: 0.000 0.000 0.000 [4 per cell]
Ni: 0.126 0.126 0.374 [16 per cell]
Ge: 0.250 0.250 0.750 [4 per cell]
O: 0.125 0.125 0.625 [16 per cell]
O: 0.127 0.127 0.127 [16 per cell]

Results
* V: 10.46 Å³ per atom
* ρ: 5.5 Mg/m³
* total magnetic moment: 7.973 μB/f.u.
* largest piezoelectric modulus: 0.132 C/m²
* energy of formation: -1.94 eV per atom

2.
Crystalline LiFeSbO4 at its relaxed geometry. Source: Materials Project, functional PBE+U.

Cell lengths 6.214, 6.214, 8.599 Å; angles 90.00, 90.00, 90.00 degrees
Space group P4_322 (No. 95)
Symmetry-distinct sites (fractional):
Li: 0.000 0.213 0.000 [4 per cell]
Fe: 0.242 0.242 0.625 [4 per cell]
Sb: 0.234 0.500 0.250 [4 per cell]
O: 0.025 0.265 0.252 [8 per cell]
O: 0.271 0.479 0.014 [8 per cell]

Results
* V: 11.86 Å³ per atom
* ρ: 5.0 Mg/m³
* total magnetic moment: 0.000 μB/f.u.
* energy of formation: -1.95 eV per atom
* relative energy among the computed polymorphs: 0.0023 eV/atom

3.
Crystalline NaNbFeP3O12 at its relaxed geometry. Source: Materials Project, functional PBE+U.

Cell lengths 8.7263, 8.7263, 22.4580 Å; angles 90.00, 90.00, 120.00 degrees
Space group R3c (No. 161, hexagonal axes)
Symmetry-distinct sites (fractional):
Na: 0.0000 0.0000 0.0000 [6 per cell]
Nb: 0.0000 0.0000 0.1484 [6 per cell]
Fe: 0.0000 0.0000 0.3588 [6 per cell]
P: 0.0502 0.3775 0.4229 [18 per cell]
O: 0.0238 0.1924 0.4159 [18 per cell]
O: 0.0250 0.1981 0.6991 [18 per cell]
O: 0.1575 0.4658 0.4781 [18 per cell]
O: 0.1677 0.4702 0.7605 [18 per cell]

Results
* V: 13.71 Å³ per atom
* ρ: 3.1 Mg/m³
* total magnetic moment: 5.000 μB/f.u.
* energy of formation: -2.67 eV per atom

4.
Crystalline Na3VSi4H2O12 at its relaxed geometry. Source: Materials Project, functional PBE+U.

Cell lengths 7.605, 8.789, 9.224 Å; angles 62.46, 83.90, 88.45 degrees
Space group P-1 (No. 2)
Symmetry-distinct sites (fractional):
Na: 0.138 0.103 0.175 [2 per cell]
Na: 0.158 0.646 0.576 [2 per cell]
Na: 0.353 0.763 0.871 [2 per cell]
V: 0.000 0.500 0.000 [1 per cell]
V: 0.500 0.000 0.000 [1 per cell]
Si: 0.102 0.755 0.167 [2 per cell]
Si: 0.235 0.408 0.307 [2 per cell]
Si: 0.276 0.210 0.682 [2 per cell]
Si: 0.386 0.409 0.843 [2 per cell]
H: 0.304 0.016 0.465 [2 per cell]
H: 0.406 0.930 0.362 [2 per cell]
O: 0.059 0.714 0.020 [2 per cell]
O: 0.069 0.163 0.767 [2 per cell]
O: 0.104 0.339 0.225 [2 per cell]
O: 0.139 0.568 0.335 [2 per cell]
O: 0.234 0.532 0.863 [2 per cell]
O: 0.267 0.885 0.118 [2 per cell]
O: 0.270 0.250 0.489 [2 per cell]
O: 0.294 0.925 0.433 [2 per cell]
O: 0.342 0.390 0.678 [2 per cell]
O: 0.406 0.222 0.996 [2 per cell]
O: 0.408 0.054 0.768 [2 per cell]
O: 0.428 0.477 0.201 [2 per cell]

Results
* V: 12.35 Å³ per atom
* ρ: 2.6 Mg/m³
* total magnetic moment: 2.000 μB/f.u.
* energy of formation: -2.70 eV per atom

5.
Crystalline Al2NiO4 at its relaxed geometry. Source: Materials Project, functional PBE+U.

Cell lengths 5.754, 5.756, 5.773 Å; angles 119.78, 90.31, 119.40 degrees
Space group P1 (No. 1)
Symmetry-distinct sites (fractional):
Al: 0.000 0.000 0.000 [1 per cell]
Al: 0.000 0.498 0.498 [1 per cell]
Al: 0.001 0.501 0.999 [1 per cell]
Al: 0.499 0.999 0.000 [1 per cell]
Ni: 0.381 0.249 0.628 [1 per cell]
Ni: 0.625 0.751 0.380 [1 per cell]
O: 0.207 0.469 0.232 [1 per cell]
O: 0.230 0.965 0.760 [1 per cell]
O: 0.236 0.971 0.208 [1 per cell]
O: 0.238 0.527 0.762 [1 per cell]
O: 0.760 0.468 0.230 [1 per cell]
O: 0.763 0.026 0.236 [1 per cell]
O: 0.766 0.035 0.797 [1 per cell]
O: 0.796 0.533 0.762 [1 per cell]

Results
* V: 9.75 Å³ per atom
* ρ: 4.3 Mg/m³
* total magnetic moment: 0.000 μB/f.u.
* energy of formation: -2.78 eV per atom
* relative energy among the computed polymorphs: 0.0239 eV/atom

6.
Crystalline MgWCl4O at its relaxed geometry. Source: Materials Project, functional PBE+U.

Cell lengths 3.946, 6.921, 7.288 Å; angles 84.47, 74.48, 73.49 degrees
Space group P1 (No. 1)
Symmetry-distinct sites (fractional):
Mg: 0.000 0.000 0.000 [1 per cell]
W: 0.717 0.638 0.925 [1 per cell]
Cl: 0.454 0.871 0.218 [1 per cell]
Cl: 0.622 0.990 0.764 [1 per cell]
Cl: 0.767 0.331 0.133 [1 per cell]
Cl: 0.946 0.460 0.644 [1 per cell]
O: 0.178 0.694 0.949 [1 per cell]

Results
* V: 26.26 Å³ per atom
* ρ: 3.3 Mg/m³
* total magnetic moment: 2.000 μB/f.u.
* energy of formation: -1.43 eV per atom
* relative energy among the computed polymorphs: 0.0000 eV/atom